# 1
## Na3InH3S3O12 (PBE)

Data for Na3InH3S3O12 after structural relaxation.

Lattice parameters (Å, degrees): 15.5707 15.5707 9.0052 90.00 90.00 120.00
Space group P-3 (No. 147)
Inequivalent atoms, fractional coordinates:
Na 0.0390 0.7981 0.0815 [6 per cell]
Na 0.0931 0.6463 0.4077 [6 per cell]
Na 0.1108 0.4204 0.2093 [6 per cell]
In 0.0000 0.0000 0.0000 [1 per cell]
In 0.0000 0.0000 0.5000 [1 per cell]
In 0.3333 0.6667 0.3059 [2 per cell]
In 0.3333 0.6667 0.8035 [2 per cell]
H 0.0243 0.7677 0.3830 [6 per cell]
H 0.0735 0.6463 0.7155 [6 per cell]
H 0.0900 0.4067 0.9010 [6 per cell]
S 0.0196 0.8452 0.7523 [6 per cell]
S 0.1652 0.6553 0.0676 [6 per cell]
S 0.1766 0.4973 0.5433 [6 per cell]
O 0.0346 0.1252 0.3558 [6 per cell]
O 0.0568 0.2464 0.1708 [6 per cell]
O 0.0652 0.9260 0.8756 [6 per cell]
O 0.0731 0.4558 0.5881 [6 per cell]
O 0.0966 0.5662 0.1516 [6 per cell]
O 0.0995 0.8367 0.6865 [6 per cell]
O 0.1221 0.7175 0.0285 [6 per cell]
O 0.1941 0.4279 0.4547 [6 per cell]
O 0.2005 0.6266 0.9321 [6 per cell]
O 0.2016 0.5876 0.4445 [6 per cell]
O 0.2446 0.5323 0.6749 [6 per cell]
O 0.2553 0.7203 0.1669 [6 per cell]

## Properties
**Crystal system**: trigonal
**Spin magnetization**: 3.0 μB/f.u.


# 2
## NaInH12Se2O14 (PBE)

Data for NaInH12Se2O14 after structural relaxation.

Lattice parameters (Å, degrees): 7.271 7.323 12.730 93.58 93.60 107.09
Space group P-1 (No. 2)
Inequivalent atoms, fractional coordinates:
Na 0.086 0.413 0.253 [2 per cell]
In 0.500 0.000 0.000 [1 per cell]
In 0.500 0.000 0.500 [1 per cell]
H 0.087 0.331 0.489 [2 per cell]
H 0.113 0.763 0.003 [2 per cell]
H 0.164 0.410 0.010 [2 per cell]
H 0.184 0.255 0.082 [2 per cell]
H 0.216 0.015 0.832 [2 per cell]
H 0.222 0.789 0.122 [2 per cell]
H 0.257 0.320 0.424 [2 per cell]
H 0.264 0.614 0.504 [2 per cell]
H 0.271 0.173 0.620 [2 per cell]
H 0.291 0.722 0.623 [2 per cell]
H 0.338 0.227 0.876 [2 per cell]
H 0.489 0.281 0.667 [2 per cell]
Se 0.101 0.914 0.314 [2 per cell]
Se 0.416 0.601 0.814 [2 per cell]
O 0.020 0.052 0.236 [2 per cell]
O 0.069 0.208 0.613 [2 per cell]
O 0.096 0.331 0.064 [2 per cell]
O 0.176 0.404 0.440 [2 per cell]
O 0.189 0.758 0.248 [2 per cell]
O 0.243 0.789 0.044 [2 per cell]
O 0.260 0.688 0.747 [2 per cell]
O 0.285 0.067 0.396 [2 per cell]
O 0.289 0.743 0.545 [2 per cell]
O 0.295 0.429 0.885 [2 per cell]
O 0.342 0.090 0.871 [2 per cell]
O 0.408 0.164 0.624 [2 per cell]
O 0.431 0.215 0.104 [2 per cell]
O 0.443 0.477 0.264 [2 per cell]

## Properties
**Crystal system**: triclinic
**Spin magnetization**: 0.0 μB/f.u.


# 3
## InHO2 (PBE)

Data for InHO2 after structural relaxation.

Lattice parameters (Å, degrees): 5.414 5.414 5.414 90.00 90.00 90.00
Space group P2_13 (No. 198)
Inequivalent atoms, fractional coordinates:
In 0.010 0.010 0.010 [4 per cell]
H 0.022 0.522 0.978 [4 per cell]
O 0.133 0.867 0.367 [4 per cell]
O 0.135 0.635 0.865 [4 per cell]

## Properties
**Crystal system**: cubic
**Spin magnetization**: 0.0 μB/f.u.


# 4
## InHO2 (PBE)

Data for InHO2 after structural relaxation.

Lattice parameters (Å, degrees): 5.394 5.394 5.394 90.00 90.00 90.00
Space group Pa-3 (No. 205)
Inequivalent atoms, fractional coordinates:
In 0.000 0.000 0.000 [4 per cell]
H 0.000 0.000 0.500 [4 per cell]
O 0.130 0.630 0.870 [8 per cell]

## Properties
**Crystal system**: cubic
**Spin magnetization**: 0.0 μB/f.u.


# 5
## InHO2 (PBE)

Data for InHO2 after structural relaxation.

Lattice parameters (Å, degrees): 3.330 4.638 5.377 90.00 90.00 90.00
Space group Pmn2_1 (No. 31)
Inequivalent atoms, fractional coordinates:
In 0.000 0.231 0.000 [2 per cell]
H 0.000 0.296 0.482 [2 per cell]
O 0.000 0.024 0.637 [2 per cell]
O 0.000 0.479 0.367 [2 per cell]

## Properties
**Crystal system**: orthorhombic
**Maximum piezoelectric response**: 1.18 C/m²


# 6
## InHO2 (PBE)

Data for InHO2 after structural relaxation.

Lattice parameters (Å, degrees): 4.569 5.362 3.332 90.00 90.00 90.00
Space group Pnnm (No. 58)
Inequivalent atoms, fractional coordinates:
In 0.000 0.000 0.000 [2 per cell]
H 0.000 0.500 0.000 [2 per cell]
O 0.220 0.371 0.000 [4 per cell]

## Properties
**Crystal system**: orthorhombic


# 7
## InP3H2O10 (PBE)

Data for InP3H2O10 after structural relaxation.

Lattice parameters (Å, degrees): 9.152 9.325 14.248 90.00 114.09 90.00
Space group P2_1/c (No. 14)
Inequivalent atoms, fractional coordinates:
In 0.068 0.105 0.270 [4 per cell]
P 0.161 0.095 0.915 [4 per cell]
P 0.249 0.102 0.750 [4 per cell]
P 0.360 0.512 0.975 [4 per cell]
H 0.225 0.156 0.078 [4 per cell]
H 0.364 0.021 0.657 [4 per cell]
O 0.059 0.541 0.385 [4 per cell]
O 0.064 0.232 0.873 [4 per cell]
O 0.101 0.011 0.694 [4 per cell]
O 0.219 0.237 0.223 [4 per cell]
O 0.254 0.534 0.862 [4 per cell]
O 0.262 0.098 0.034 [4 per cell]
O 0.281 0.504 0.048 [4 per cell]
O 0.300 0.084 0.873 [4 per cell]
O 0.398 0.049 0.735 [4 per cell]
O 0.487 0.122 0.490 [4 per cell]

## Properties
**Crystal system**: monoclinic
**Spin magnetization**: 0.0 μB/f.u.


# 8
## InPH4O6 (PBE)

Data for InPH4O6 after structural relaxation.

Lattice parameters (Å, degrees): 5.503 10.375 10.403 90.00 120.60 90.00
Space group P2_1/c (No. 14)
Inequivalent atoms, fractional coordinates:
In 0.105 0.170 0.199 [4 per cell]
P 0.274 0.649 0.683 [4 per cell]
H 0.124 0.046 0.777 [4 per cell]
H 0.340 0.165 0.517 [4 per cell]
H 0.397 0.543 0.313 [4 per cell]
H 0.423 0.664 0.026 [4 per cell]
O 0.076 0.667 0.748 [4 per cell]
O 0.158 0.722 0.532 [4 per cell]
O 0.196 0.545 0.289 [4 per cell]
O 0.295 0.502 0.663 [4 per cell]
O 0.382 0.135 0.440 [4 per cell]
O 0.430 0.205 0.704 [4 per cell]

## Properties
**Crystal system**: monoclinic
**Spin magnetization**: 0.0 μB/f.u.


no.,formation energy (eV/atom)
1,-1.456
2,-1.365
3,-1.693
4,-1.687
5,-1.733
6,-1.723
7,-2.253
8,-1.878